No. 1
PBE Sc3NF10, optimized geometry; symmetry = P222_1 (17); formation energy = -3.285 eV/atom; ρ = 2.59 Mg/m³; calculated total energy = -0.4612 Ry per atom
1.0
6.754 0.000 0.000
0.000 7.935 0.000
0.000 0.000 8.115
Sc N F
6 2 20
Direct
0.000 0.006 0.250
0.000 0.994 0.750
0.500 0.252 0.750
0.500 0.264 0.250
0.500 0.736 0.750
0.500 0.748 0.250
0.007 0.500 0.000
0.993 0.500 0.500
0.017 0.000 0.000
0.204 0.196 0.263
0.204 0.804 0.737
0.205 0.183 0.741
0.205 0.817 0.259
0.341 0.495 0.755
0.341 0.505 0.245
0.495 0.269 0.000
0.495 0.731 0.000
0.500 0.006 0.250
0.500 0.994 0.750
0.505 0.269 0.500
0.505 0.731 0.500
0.659 0.495 0.745
0.659 0.505 0.255
0.795 0.183 0.759
0.795 0.817 0.241
0.796 0.196 0.237
0.796 0.804 0.763
0.983 0.000 0.500

No. 2
PBE ScN3F6, optimized geometry; symmetry = Fm-3m (225); formation energy = -0.431 eV/atom; ρ = 2.79 Mg/m³; calculated total energy = -0.3261 Ry per atom
1.0
0.000 3.912 3.912
3.912 0.000 3.912
3.912 3.912 0.000
Sc N F
1 3 6
Direct
0.000 0.000 0.000
0.250 0.250 0.250
0.500 0.500 0.500
0.750 0.750 0.750
0.265 0.265 0.735
0.265 0.735 0.265
0.265 0.735 0.735
0.735 0.265 0.265
0.735 0.265 0.735
0.735 0.735 0.265

No. 3
PBE Sn3N3F11, optimized geometry; symmetry = Pmmn (59); formation energy = -1.735 eV/atom; ρ = 3.27 Mg/m³; calculated total energy = -0.3568 Ry per atom
1.0
8.040 0.000 0.000
0.000 10.529 0.000
0.000 0.000 7.291
Sn N F
6 6 22
Direct
0.250 0.067 0.235
0.250 0.433 0.235
0.250 0.750 0.316
0.750 0.250 0.684
0.750 0.567 0.765
0.750 0.933 0.765
0.250 0.195 0.963
0.250 0.305 0.963
0.250 0.750 0.744
0.750 0.250 0.256
0.750 0.695 0.037
0.750 0.805 0.037
0.010 0.066 0.252
0.010 0.434 0.252
0.012 0.750 0.327
0.250 0.250 0.359
0.250 0.571 0.445
0.250 0.615 0.103
0.250 0.885 0.103
0.250 0.929 0.445
0.488 0.750 0.327
0.490 0.066 0.252
0.490 0.434 0.252
0.510 0.566 0.748
0.510 0.934 0.748
0.512 0.250 0.673
0.750 0.071 0.555
0.750 0.115 0.897
0.750 0.385 0.897
0.750 0.429 0.555
0.750 0.750 0.641
0.988 0.250 0.673
0.990 0.566 0.748
0.990 0.934 0.748

No. 4
PBE Sr6Sn2NF, optimized geometry; symmetry = Fm-3m (225); formation energy = -1.209 eV/atom; ρ = 4.56 Mg/m³; calculated total energy = -0.2943 Ry per atom
1.0
0.000 5.254 5.254
5.254 0.000 5.254
5.254 5.254 0.000
Sr Sn N F
6 2 1 1
Direct
0.242 0.242 0.758
0.242 0.758 0.242
0.242 0.758 0.758
0.758 0.242 0.242
0.758 0.242 0.758
0.758 0.758 0.242
0.250 0.250 0.250
0.750 0.750 0.750
0.000 0.000 0.000
0.500 0.500 0.500

No. 5
PBE Sr2NF, optimized geometry; symmetry = Cmcm (63); formation energy = -1.959 eV/atom; ρ = 4.39 Mg/m³; calculated total energy = -0.3860 Ry per atom
1.0
7.674 -10.800 0.000
7.674 10.800 0.000
0.000 0.000 7.603
Sr N F
32 16 16
Direct
0.129 0.640 0.750
0.130 0.372 0.018
0.130 0.372 0.482
0.131 0.869 0.515
0.131 0.869 0.985
0.139 0.148 0.250
0.139 0.629 0.250
0.148 0.139 0.750
0.360 0.871 0.750
0.363 0.374 0.250
0.369 0.631 0.018
0.369 0.631 0.482
0.371 0.861 0.250
0.372 0.130 0.518
0.372 0.130 0.982
0.374 0.363 0.750
0.626 0.637 0.250
0.628 0.870 0.018
0.628 0.870 0.482
0.629 0.139 0.750
0.631 0.369 0.518
0.631 0.369 0.982
0.637 0.626 0.750
0.640 0.129 0.250
0.852 0.861 0.250
0.861 0.371 0.750
0.861 0.852 0.750
0.869 0.131 0.015
0.869 0.131 0.485
0.870 0.628 0.518
0.870 0.628 0.982
0.871 0.360 0.250
0.000 0.248 0.250
0.000 0.752 0.750
0.248 0.000 0.750
0.249 0.751 0.000
0.249 0.751 0.500
0.251 0.501 0.250
0.253 0.253 0.000
0.253 0.253 0.500
0.499 0.749 0.250
0.501 0.251 0.750
0.747 0.747 0.000
0.747 0.747 0.500
0.749 0.499 0.750
0.751 0.249 0.000
0.751 0.249 0.500
0.752 0.000 0.250
0.000 0.500 0.000
0.000 0.500 0.500
0.011 0.286 0.750
0.049 0.951 0.250
0.253 0.503 0.750
0.286 0.011 0.250
0.497 0.747 0.750
0.500 0.000 0.000
0.500 0.000 0.500
0.500 0.500 0.000
0.500 0.500 0.500
0.503 0.253 0.250
0.714 0.989 0.750
0.747 0.497 0.250
0.951 0.049 0.750
0.989 0.714 0.250

No. 6
PBE TaNF6, optimized geometry; symmetry = R-3 (148); formation energy = -2.024 eV/atom; ρ = 4.45 Mg/m³; calculated total energy = -0.4143 Ry per atom
1.0
3.651 2.108 2.498
-3.651 2.108 2.498
0.000 -4.215 2.498
Ta N F
1 1 6
Direct
0.000 0.000 0.000
0.500 0.500 0.500
0.084 0.672 0.786
0.214 0.916 0.328
0.328 0.214 0.916
0.672 0.786 0.084
0.786 0.084 0.672
0.916 0.328 0.214

No. 7
PBE TaN3F6, optimized geometry; symmetry = P-1 (2); formation energy = -0.740 eV/atom; ρ = 1.30 Mg/m³; calculated total energy = -0.3894 Ry per atom
1.0
6.974 0.000 0.000
2.836 7.694 0.000
0.683 3.818 8.035
Ta N F
1 3 6
Direct
0.000 0.000 0.000
0.000 0.000 0.500
0.000 0.500 0.500
0.500 0.000 0.000
0.007 0.160 0.101
0.125 0.782 0.200
0.279 0.997 0.917
0.721 0.003 0.083
0.875 0.218 0.800
0.993 0.840 0.899

No. 8
PBE TaNF6, optimized geometry; symmetry = P-1 (2); formation energy = -2.040 eV/atom; ρ = 4.31 Mg/m³; calculated total energy = -0.4156 Ry per atom
1.0
4.899 0.000 0.000
1.175 5.043 0.000
0.874 1.731 4.819
Ta N F
1 1 6
Direct
0.000 0.000 0.000
0.500 0.000 0.000
0.013 0.218 0.222
0.284 0.159 0.693
0.316 0.687 0.150
0.684 0.313 0.850
0.716 0.841 0.307
0.987 0.782 0.778